The following is a GGA+U calculation of an optimized crystal structure of Fe2Ni3SbP6O24, from the Materials Project.

```
Fe2Ni3SbP6O24
1.0
4.3381 2.5046 6.8117
-4.3381 2.5046 6.8117
0.0000 -5.0092 6.8117
Fe Ni Sb P O
2 3 1 6 24
direct
0.0000 0.0000 0.0000 Fe
0.4892 0.4892 0.4892 Fe
0.1360 0.1360 0.1360 Ni
0.3460 0.3460 0.3460 Ni
0.6319 0.6319 0.6319 Ni
0.8472 0.8472 0.8472 Sb
0.0380 0.4433 0.7330 P
0.2441 0.9400 0.5320 P
0.4433 0.7330 0.0380 P
0.5320 0.2441 0.9400 P
0.7330 0.0380 0.4433 P
0.9400 0.5320 0.2441 P
0.9999 0.6003 0.8097 O
0.0496 0.2450 0.8928 O
0.0803 0.9266 0.7423 O
0.0934 0.5027 0.3079 O
0.1669 0.9777 0.3851 O
0.2402 0.4326 0.5867 O
0.2450 0.8928 0.0496 O
0.3079 0.0934 0.5027 O
0.3851 0.1669 0.9777 O
0.3906 0.7361 0.5545 O
0.4326 0.5867 0.2402 O
0.4903 0.6617 0.8849 O
0.5027 0.3079 0.0934 O
0.5545 0.3906 0.7361 O
0.5867 0.2402 0.4326 O
0.6003 0.8097 0.9999 O
0.6617 0.8849 0.4903 O
0.7361 0.5545 0.3906 O
0.7423 0.0803 0.9266 O
0.8097 0.9999 0.6003 O
0.8849 0.4903 0.6617 O
0.8928 0.0496 0.2450 O
0.9266 0.7423 0.0803 O
0.9777 0.3851 0.1669 O
```

Calculated volume ... 444.1 Å³ per cell
Final energy ... -238.357 eV/cell

The following is a GGA+U calculation of an optimized crystal structure of Fe3Ni2SnP6O24, from the Materials Project.

```
Fe3Ni2SnP6O24
1.0
4.3278 2.4987 6.9241
-4.3278 2.4987 6.9241
0.0000 -4.9973 6.9241
Fe Ni Sn P O
3 2 1 6 24
direct
0.0000 0.0000 0.0000 Fe
0.2090 0.2090 0.2090 Fe
0.4984 0.4984 0.4984 Fe
0.3538 0.3538 0.3538 Ni
0.8580 0.8580 0.8580 Ni
0.7106 0.7106 0.7106 Sn
0.1091 0.3967 0.8074 P
0.3038 0.9037 0.6025 P
0.3967 0.8074 0.1091 P
0.6025 0.3038 0.9037 P
0.8074 0.1091 0.3967 P
0.9037 0.6025 0.3038 P
0.0359 0.2452 0.8490 O
0.1017 0.4459 0.2882 O
0.1075 0.9173 0.7625 O
0.1773 0.3572 0.9614 O
0.2452 0.8490 0.0359 O
0.2638 0.4145 0.6079 O
0.2882 0.1017 0.4459 O
0.3513 0.7443 0.5375 O
0.3572 0.9614 0.1773 O
0.4145 0.6079 0.2638 O
0.4459 0.2882 0.1017 O
0.4572 0.8697 0.6720 O
0.5375 0.3513 0.7443 O
0.5988 0.7947 0.9491 O
0.6079 0.2638 0.4145 O
0.6720 0.4572 0.8697 O
0.7443 0.5375 0.3513 O
0.7625 0.1075 0.9173 O
0.7947 0.9491 0.5988 O
0.8490 0.0359 0.2452 O
0.8697 0.6720 0.4572 O
0.9173 0.7625 0.1075 O
0.9491 0.5988 0.7947 O
0.9614 0.1773 0.3572 O
```

Calculated volume ... 449.2 Å³ per cell
Final energy ... -245.293 eV/cell

The following is a GGA+U calculation of an optimized crystal structure of Fe3Ni2TeP6O24, from the Materials Project.

```
Fe3Ni2TeP6O24
1.0
4.3373 2.5041 6.9026
-4.3373 2.5041 6.9026
0.0000 -5.0083 6.9026
Fe Ni Te P O
3 2 1 6 24
direct
0.0000 0.0000 0.0000 Fe
0.2103 0.2103 0.2103 Fe
0.7117 0.7117 0.7117 Fe
0.3498 0.3498 0.3498 Ni
0.8560 0.8560 0.8560 Ni
0.4992 0.4992 0.4992 Te
0.0991 0.8162 0.4023 P
0.3038 0.6092 0.9096 P
0.4023 0.0991 0.8162 P
0.6092 0.9096 0.3038 P
0.8162 0.4023 0.0991 P
0.9096 0.3038 0.6092 P
0.0365 0.8514 0.2462 O
0.1012 0.2945 0.4465 O
0.1084 0.7654 0.9205 O
0.1764 0.9645 0.3597 O
0.2462 0.0365 0.8514 O
0.2633 0.6115 0.4116 O
0.2945 0.4465 0.1012 O
0.3304 0.5409 0.7538 O
0.3597 0.1764 0.9645 O
0.4116 0.2633 0.6115 O
0.4465 0.1012 0.2945 O
0.4669 0.6721 0.8540 O
0.5409 0.7538 0.3304 O
0.6009 0.9473 0.7949 O
0.6115 0.4116 0.2633 O
0.6721 0.8540 0.4669 O
0.7538 0.3304 0.5409 O
0.7654 0.9205 0.1084 O
0.7949 0.6009 0.9473 O
0.8514 0.2462 0.0365 O
0.8540 0.4669 0.6721 O
0.9205 0.1084 0.7654 O
0.9473 0.7949 0.6009 O
0.9645 0.3597 0.1764 O
```

Calculated volume ... 449.8 Å³ per cell
Final energy ... -242.363 eV/cell

The following is a GGA+U calculation of an optimized crystal structure of Ti3Fe2NiP6O24, from the Materials Project.

```
Ti3Fe2NiP6O24
1.0
4.3316 2.5009 6.8974
-4.3316 2.5009 6.8974
0.0000 -5.0017 6.8974
Ti Fe Ni P O
3 2 1 6 24
direct
0.0000 0.0000 0.0000 Ti
0.2140 0.2140 0.2140 Ti
0.5031 0.5031 0.5031 Ti
0.3569 0.3569 0.3569 Fe
0.8555 0.8555 0.8555 Fe
0.7162 0.7162 0.7162 Ni
0.1085 0.8137 0.4016 P
0.3167 0.6105 0.9031 P
0.4016 0.1085 0.8137 P
0.6105 0.9031 0.3167 P
0.8137 0.4016 0.1085 P
0.9031 0.3167 0.6105 P
0.0423 0.8606 0.2385 O
0.0990 0.2912 0.4474 O
0.1166 0.7675 0.9160 O
0.1847 0.9722 0.3460 O
0.2385 0.0423 0.8606 O
0.2716 0.6191 0.4103 O
0.2912 0.4474 0.0990 O
0.3460 0.1847 0.9722 O
0.3620 0.5445 0.7386 O
0.4103 0.2716 0.6191 O
0.4474 0.0990 0.2912 O
0.4688 0.6724 0.8724 O
0.5445 0.7386 0.3620 O
0.5950 0.9543 0.8055 O
0.6191 0.4103 0.2716 O
0.6724 0.8724 0.4688 O
0.7386 0.3620 0.5445 O
0.7675 0.9160 0.1166 O
0.8055 0.5950 0.9543 O
0.8606 0.2385 0.0423 O
0.8724 0.4688 0.6724 O
0.9160 0.1166 0.7675 O
0.9543 0.8055 0.5950 O
0.9722 0.3460 0.1847 O
```

Calculated volume ... 448.3 Å³ per cell
Final energy ... -272.728 eV/cell

The following is a GGA+U calculation of an optimized crystal structure of TiFe3Ni2P6O24, from the Materials Project.

```
TiFe3Ni2P6O24
1.0
4.3107 2.4888 6.8718
-4.3107 2.4888 6.8718
0.0000 -4.9776 6.8718
Ti Fe Ni P O
1 3 2 6 24
direct
0.0000 0.0000 0.0000 Ti
0.2112 0.2112 0.2112 Fe
0.4990 0.4990 0.4990 Fe
0.7101 0.7101 0.7101 Fe
0.3545 0.3545 0.3545 Ni
0.8544 0.8544 0.8544 Ni
0.1057 0.8093 0.4028 P
0.3096 0.6043 0.9014 P
0.4028 0.1057 0.8093 P
0.6043 0.9014 0.3096 P
0.8093 0.4028 0.1057 P
0.9014 0.3096 0.6043 P
0.0329 0.8625 0.2406 O
0.1015 0.2925 0.4479 O
0.1090 0.7652 0.9184 O
0.1759 0.9642 0.3600 O
0.2406 0.0329 0.8625 O
0.2620 0.6112 0.4104 O
0.2925 0.4479 0.1015 O
0.3479 0.5376 0.7450 O
0.3600 0.1759 0.9642 O
0.4104 0.2620 0.6112 O
0.4479 0.1015 0.2925 O
0.4644 0.6745 0.8601 O
0.5376 0.7450 0.3479 O
0.5998 0.9466 0.7947 O
0.6112 0.4104 0.2620 O
0.6745 0.8601 0.4644 O
0.7450 0.3479 0.5376 O
0.7652 0.9184 0.1090 O
0.7947 0.5998 0.9466 O
0.8601 0.4644 0.6745 O
0.8625 0.2406 0.0329 O
0.9184 0.1090 0.7652 O
0.9466 0.7947 0.5998 O
0.9642 0.3600 0.1759 O
```

Calculated volume ... 442.3 Å³ per cell
Final energy ... -253.744 eV/cell

The following is a GGA+U calculation of an optimized crystal structure of VFe3Ni2P6O24, from the Materials Project.

```
VFe3Ni2P6O24
1.0
4.2983 2.4816 6.8261
-4.2983 2.4816 6.8261
0.0000 -4.9632 6.8261
V Fe Ni P O
1 3 2 6 24
direct
0.0000 0.0000 0.0000 V
0.2893 0.2893 0.2893 Fe
0.5001 0.5001 0.5001 Fe
0.7874 0.7874 0.7874 Fe
0.1458 0.1458 0.1458 Ni
0.6456 0.6456 0.6456 Ni
0.0972 0.3924 0.6909 P
0.1901 0.8922 0.5974 P
0.3924 0.6909 0.0972 P
0.5974 0.1901 0.8922 P
0.6909 0.0972 0.3924 P
0.8922 0.5974 0.1901 P
0.0351 0.8207 0.6435 O
0.0536 0.4032 0.2024 O
0.0790 0.2276 0.8927 O
0.1312 0.9658 0.7667 O
0.1398 0.3195 0.5371 O
0.2024 0.0536 0.4032 O
0.2276 0.8927 0.0790 O
0.2568 0.4536 0.6571 O
0.3195 0.5371 0.1398 O
0.3866 0.7367 0.5961 O
0.4032 0.2024 0.0536 O
0.4536 0.6571 0.2568 O
0.5371 0.1398 0.3195 O
0.5486 0.7092 0.8984 O
0.5961 0.3866 0.7367 O
0.6435 0.0351 0.8207 O
0.6571 0.2568 0.4536 O
0.7092 0.8984 0.5486 O
0.7367 0.5961 0.3866 O
0.7667 0.1312 0.9658 O
0.8207 0.6435 0.0351 O
0.8927 0.0790 0.2276 O
0.8984 0.5486 0.7092 O
0.9658 0.7667 0.1312 O
```

Calculated volume ... 436.9 Å³ per cell
Final energy ... -250.485 eV/cell

The following is a GGA+U calculation of an optimized crystal structure of Fe2Ni3P6WO24, from the Materials Project.

```
Fe2Ni3P6WO24
1.0
4.3446 2.5084 6.7986
-4.3446 2.5084 6.7986
0.0000 -5.0168 6.7986
Fe Ni P W O
2 3 6 1 24
direct
0.0000 0.0000 0.0000 Fe
0.4916 0.4916 0.4916 Fe
0.1363 0.1363 0.1363 Ni
0.3449 0.3449 0.3449 Ni
0.6308 0.6308 0.6308 Ni
0.0374 0.4380 0.7300 P
0.2435 0.9420 0.5265 P
0.4380 0.7300 0.0374 P
0.5265 0.2435 0.9420 P
0.7300 0.0374 0.4380 P
0.9420 0.5265 0.2435 P
0.8463 0.8463 0.8463 W
0.0523 0.2420 0.8891 O
0.0796 0.9162 0.7404 O
0.0955 0.5072 0.2994 O
0.1593 0.9796 0.3862 O
0.2355 0.4412 0.5868 O
0.2420 0.8891 0.0523 O
0.2994 0.0955 0.5072 O
0.3862 0.1593 0.9796 O
0.3904 0.7381 0.5504 O
0.4412 0.5868 0.2355 O
0.4839 0.6611 0.8840 O
0.5072 0.2994 0.0955 O
0.5504 0.3904 0.7381 O
0.5868 0.2355 0.4412 O
0.6055 0.8118 0.9755 O
0.6611 0.8840 0.4839 O
0.7381 0.5504 0.3904 O
0.7404 0.0796 0.9162 O
0.8118 0.9755 0.6055 O
0.8840 0.4839 0.6611 O
0.8891 0.0523 0.2420 O
0.9162 0.7404 0.0796 O
0.9755 0.6055 0.8118 O
0.9796 0.3862 0.1593 O
```

Calculated volume ... 444.5 Å³ per cell
Final energy ... -244.697 eV/cell

The following is a GGA+U calculation of an optimized crystal structure of V4FeNiO12, from the Materials Project.

```
V4FeNiO12
1.0
5.9126 0.0000 0.0000
1.8009 6.5854 0.0000
1.8137 0.2708 6.5915
V Fe Ni O
4 1 1 12
direct
0.0000 0.0000 0.0000 V
0.0045 0.4095 0.4095 V
0.4953 0.1822 0.8230 V
0.5094 0.5867 0.2276 V
0.0031 0.8805 0.5289 Fe
0.5021 0.7089 0.7009 Ni
0.0215 0.1802 0.5296 O
0.1234 0.8329 0.8062 O
0.1984 0.1664 0.9686 O
0.3023 0.4253 0.2686 O
0.4000 0.7552 0.4193 O
0.4781 0.4134 0.7071 O
0.5275 0.7019 0.9965 O
0.6043 0.9901 0.6549 O
0.7019 0.1411 0.9839 O
0.8064 0.4411 0.2437 O
0.8824 0.6041 0.5762 O
0.9827 0.8796 0.2285 O
```

Calculated volume ... 256.7 Å³ per cell
Final energy ... -128.802 eV/cell

The following is a GGA+U calculation of an optimized crystal structure of ZnFe4NiO8, from the Materials Project.

```
ZnFe4NiO8
1.0
3.0060 1.7355 4.9030
-3.0060 1.7355 4.9030
0.0000 -3.4710 4.9030
Zn Fe Ni O
1 4 1 8
direct
0.0000 0.0000 0.0000 Zn
0.3759 0.3759 0.8817 Fe
0.3759 0.8817 0.3759 Fe
0.7540 0.7540 0.7540 Fe
0.8817 0.3759 0.3759 Fe
0.3761 0.3761 0.3761 Ni
0.1338 0.1338 0.5964 O
0.1338 0.5964 0.1338 O
0.1359 0.1359 0.1359 O
0.1474 0.6254 0.6254 O
0.5964 0.1338 0.1338 O
0.6219 0.6219 0.6219 O
0.6254 0.1474 0.6254 O
0.6254 0.6254 0.1474 O
```

Calculated volume ... 153.5 Å³ per cell
ΔE to the lowest computed polymorph ... 0.0063 eV/atom
Final energy ... -86.129 eV/cell

The following is a GGA+U calculation of an optimized crystal structure of ZnFe16Ni7O32, from the Materials Project.

```
ZnFe16Ni7O32
1.0
8.3840 0.0000 0.0000
-0.0006 8.3907 0.0000
-0.0008 -0.0229 8.3907
Zn Fe Ni O
1 16 7 32
direct
0.0000 0.0000 0.0000 Zn
0.0025 0.4980 0.4949 Fe
0.1302 0.1276 0.3701 Fe
0.1301 0.3763 0.1222 Fe
0.1301 0.6260 0.8727 Fe
0.1308 0.8756 0.6240 Fe
0.2569 0.2530 0.7491 Fe
0.2598 0.7529 0.2433 Fe
0.4967 0.5040 0.9955 Fe
0.5003 0.0017 0.4934 Fe
0.6282 0.3786 0.6232 Fe
0.6291 0.6275 0.3699 Fe
0.6308 0.1256 0.8708 Fe
0.6306 0.8754 0.1215 Fe
0.7600 0.7514 0.7523 Fe
0.7613 0.2506 0.2468 Fe
0.8796 0.1276 0.6212 Fe
0.3791 0.1270 0.1223 Ni
0.3789 0.3765 0.3717 Ni
0.3800 0.6253 0.6224 Ni
0.3803 0.8754 0.8730 Ni
0.8791 0.6278 0.1211 Ni
0.8793 0.8765 0.3690 Ni
0.8800 0.3774 0.8724 Ni
0.1185 0.1207 0.6112 O
0.1263 0.8896 0.3768 O
0.1276 0.3877 0.8855 O
0.1275 0.6143 0.1109 O
0.1314 0.6327 0.6320 O
0.1329 0.3653 0.3593 O
0.1338 0.1428 0.1377 O
0.1353 0.8605 0.8614 O
0.3623 0.6302 0.8654 O
0.3646 0.1322 0.3693 O
0.3671 0.3722 0.1265 O
0.3735 0.8722 0.6266 O
0.3807 0.3809 0.6154 O
0.3934 0.6231 0.3762 O
0.3943 0.8820 0.1174 O
0.3949 0.1225 0.8756 O
0.6263 0.8797 0.8856 O
0.6275 0.3849 0.3832 O
0.6279 0.6143 0.6210 O
0.6288 0.1154 0.1154 O
0.6309 0.6387 0.1243 O
0.6312 0.8675 0.3600 O
0.6326 0.3747 0.8588 O
0.6398 0.1377 0.6260 O
0.8588 0.8682 0.1305 O
0.8618 0.1332 0.8522 O
0.8656 0.6297 0.3702 O
0.8792 0.3594 0.6255 O
0.8843 0.8934 0.6176 O
0.8928 0.3799 0.1171 O
0.8936 0.1235 0.3859 O
0.8969 0.6218 0.8760 O
```

Calculated volume ... 590.3 Å³ per cell
Final energy ... -344.641 eV/cell

The following is a GGA+U calculation of an optimized crystal structure of ZnFe4NiO8, from the Materials Project.

```
ZnFe4NiO8
1.0
0.0000 4.2676 4.2676
4.2676 0.0000 4.2676
4.2676 4.2676 0.0000
Zn Fe Ni O
1 4 1 8
direct
0.0000 0.0000 0.0000 Zn
0.1246 0.6251 0.6251 Fe
0.6251 0.1246 0.6251 Fe
0.6251 0.6251 0.1246 Fe
0.6251 0.6251 0.6251 Fe
0.2500 0.2500 0.2500 Ni
0.3845 0.3845 0.3845 O
0.3845 0.3845 0.8464 O
0.3845 0.8464 0.3845 O
0.4064 0.8645 0.8645 O
0.8464 0.3845 0.3845 O
0.8645 0.4064 0.8645 O
0.8645 0.8645 0.4064 O
0.8645 0.8645 0.8645 O
```

Calculated volume ... 155.4 Å³ per cell
ΔE to the lowest computed polymorph ... 0.0000 eV/atom
Final energy ... -86.218 eV/cell